## Pr2MgMn2Ge2O10 (GGA+U)

Data for crystalline Pr2MgMn2Ge2O10 at its relaxed geometry.

## Properties
The value obtained for the volume is 14.2 Å³ per atom. The formation energy comes out at -2.69 eV per atom. The space-group type is P1 (1). As for the uncorrected energy: -123.7 eV per cell. As for the magnetic moment: 10.0 μB/f.u.

a = 5.8220 Å, b = 6.3252 Å, c = 6.8920 Å
α = 88.63°, β = 99.27°, γ = 105.80°
Atoms (fractional coordinates):
O1 0.2994 0.3962 0.1283
Ge1 0.2467 0.1564 0.2825
Pr1 0.6265 0.7587 0.1846
Mg1 0.8107 0.2821 0.4676
Pr2 0.3464 0.1945 0.8259
O2 0.6668 0.9932 0.8854
Ge2 0.7296 0.8007 0.7336
O3 0.0369 0.8697 0.7053
O4 0.5272 0.7490 0.5101
Mn1 0.1642 0.6718 0.5342
Mn2 0.9818 0.4709 0.0004
O5 0.0566 0.3919 0.7097
O6 0.3087 0.9634 0.1305
O7 0.4620 0.2118 0.4999
O8 0.8989 0.5440 0.2928
O9 0.9411 0.0820 0.3201
O10 0.6675 0.5576 0.8816

=====

## Li5Mn3O8 (GGA+U)

Data for crystalline Li5Mn3O8 at its relaxed geometry.

## Properties
The value obtained for the volume is 9.1 Å³ per atom. The formation energy comes out at -2.07 eV per atom. The space-group type is C2/m (12). As for the uncorrected energy: -99.3 eV per cell. As for the magnetic moment: 10.0 μB/f.u.

a = 9.8292 Å, b = 9.8292 Å, c = 5.2427 Å
α = 84.76°, β = 84.76°, γ = 16.85°
Atoms (fractional coordinates):
O1 0.8053 0.8053 0.0892
O2 0.6927 0.6927 0.4157
Mn1 0.2492 0.2492 0.2513
Li1 0.6181 0.6181 0.1190
Li2 0.5000 0.5000 0.5000
O3 0.4440 0.4440 0.1707
Mn2 0.0000 0.0000 0.0000
O4 0.0582 0.0582 0.2807
O5 0.9418 0.9418 0.7193
O6 0.1947 0.1947 0.9108
Li3 0.8862 0.8862 0.3920
Mn3 0.7508 0.7508 0.7487
Li4 0.1138 0.1138 0.6080
O7 0.3073 0.3073 0.5843
O8 0.5560 0.5560 0.8293
Li5 0.3819 0.3819 0.8810

=====

## BaY2Mo4O16 (GGA+U)

Data for crystalline BaY2Mo4O16 at its relaxed geometry.

## Properties
The value obtained for the volume is 14.5 Å³ per atom. The formation energy comes out at -2.63 eV per atom. The space-group type is C2/c (15). As for the uncorrected energy: -348.0 eV per cell. As for the magnetic moment: 0.0 μB/f.u.

a = 6.9181 Å, b = 6.9181 Å, c = 19.6315 Å
α = 89.46°, β = 89.46°, γ = 134.74°
Atoms (fractional coordinates):
Y1 0.3491 0.6465 0.4679
O1 0.5850 0.8835 0.3676
O2 0.6707 0.0118 0.5439
O3 0.4150 0.1165 0.6324
O4 0.1841 0.2799 0.3981
O5 0.8835 0.5850 0.8676
O6 0.7992 0.9637 0.8310
Ba1 0.4687 0.5313 0.2500
O7 0.4884 0.7653 0.6739
O8 0.7247 0.7594 0.9649
O9 0.7653 0.4884 0.1739
O10 0.8159 0.7201 0.6019
O11 0.9637 0.7992 0.3310
O12 0.0910 0.5726 0.5665
O13 0.9882 0.3293 0.9561
O14 0.5116 0.2347 0.3261
O15 0.0363 0.2008 0.6690
Mo1 0.7637 0.2434 0.1479
O16 0.2347 0.5116 0.8261
O17 0.0118 0.6707 0.0439
O18 0.2753 0.2406 0.0351
O19 0.7594 0.7247 0.4649
Mo2 0.0459 0.9292 0.0901
Mo3 0.2363 0.7566 0.8521
Ba2 0.5313 0.4687 0.7500
Mo4 0.9541 0.0708 0.9099
O20 0.9090 0.4274 0.4335
O21 0.7201 0.8159 0.1019
O22 0.4274 0.9090 0.9335
O23 0.5726 0.0910 0.0665
Mo5 0.7566 0.2363 0.3521
Mo6 0.2434 0.7637 0.6479
O24 0.9861 0.5985 0.7112
O25 0.2799 0.1841 0.8981
Y2 0.6509 0.3535 0.5321
O26 0.0139 0.4015 0.2888
Y3 0.6465 0.3491 0.9679
O27 0.5985 0.9861 0.2112
O28 0.2008 0.0363 0.1690
O29 0.4015 0.0139 0.7888
O30 0.2406 0.2753 0.5351
Mo7 0.0708 0.9541 0.4099
Y4 0.3535 0.6509 0.0321
O31 0.1165 0.4150 0.1324
Mo8 0.9292 0.0459 0.5901
O32 0.3293 0.9882 0.4561

=====

## AlV2O4 (GGA+U)

Data for crystalline AlV2O4 at its relaxed geometry.

## Properties
The value obtained for the volume is 10.6 Å³ per atom. The formation energy comes out at -2.74 eV per atom. The space-group type is P1 (1). As for the uncorrected energy: -219.0 eV per cell. As for the magnetic moment: 1.4 μB/f.u.

a = 5.9015 Å, b = 10.3563 Å, c = 5.9044 Å
α = 90.57°, β = 60.46°, γ = 73.85°
Atoms (fractional coordinates):
O1 0.7471 0.3713 0.6298
O2 0.2443 0.6298 0.3747
V1 0.5011 0.9996 0.0017
V2 0.0018 0.9995 0.5009
V3 0.9981 0.2580 0.2568
V4 0.9999 0.4973 0.4970
O3 0.7497 0.8724 0.1247
Al1 0.6257 0.8087 0.4349
O4 0.2419 0.6313 0.8728
V5 0.9986 0.4988 0.9989
Al2 0.6276 0.3085 0.9366
Al3 0.3771 0.1885 0.5650
Al4 0.3735 0.6897 0.0625
V6 0.9973 0.7514 0.7480
O5 0.7529 0.1290 0.3781
O6 0.2527 0.8719 0.6231
O7 0.2580 0.3715 0.1186
O8 0.2531 0.8749 0.1261
O9 0.2516 0.1265 0.3770
V7 0.5004 0.4987 0.4972
O10 0.2532 0.3711 0.6248
O11 0.7526 0.8701 0.6244
V8 0.0012 0.9997 0.0010
O12 0.7465 0.6267 0.3727
O13 0.7456 0.6297 0.8735
O14 0.7491 0.1235 0.8747
O15 0.2503 0.1286 0.8820
O16 0.7491 0.3732 0.1224

=====

## Li9Mn2Co5O16 (GGA+U)

Data for crystalline Li9Mn2Co5O16 at its relaxed geometry.

## Properties
The value obtained for the volume is 8.9 Å³ per atom. The formation energy comes out at -1.82 eV per atom. The space-group type is P-1 (2). As for the uncorrected energy: -185.8 eV per cell. As for the magnetic moment: 10.0 μB/f.u.

a = 5.0061 Å, b = 6.6321 Å, c = 8.8297 Å
α = 98.06°, β = 95.15°, γ = 97.68°
Atoms (fractional coordinates):
O1 0.3600 0.0167 0.7222
Mn1 0.0003 0.6219 0.8737
Co1 0.9888 0.1155 0.3767
O2 0.1335 0.3656 0.9206
Li1 0.7440 0.6959 0.3215
Mn2 0.9997 0.3781 0.1263
Co2 0.5060 0.7525 0.7412
O3 0.3605 0.5218 0.1993
Li2 0.2560 0.3041 0.6785
O4 0.8665 0.6344 0.0794
Li3 0.5000 0.0000 0.5000
O5 0.6395 0.4782 0.8007
O6 0.6400 0.9833 0.2778
O7 0.8775 0.8806 0.8485
Li4 0.2473 0.0663 0.9350
Li5 0.7504 0.4280 0.5591
Co3 0.4940 0.2475 0.2589
O8 0.6357 0.2482 0.0421
O9 0.8871 0.1485 0.5890
O10 0.8784 0.4031 0.3259
Co4 0.0112 0.8845 0.6233
O11 0.1225 0.1194 0.1515
O12 0.1216 0.5969 0.6741
O13 0.1129 0.8515 0.4110
Li6 0.7342 0.1815 0.7973
O14 0.3669 0.2803 0.4505
O15 0.3643 0.7518 0.9579
Co5 0.5000 0.5000 0.0000
Li7 0.2658 0.8185 0.2027
Li8 0.7527 0.9337 0.0650
O16 0.6331 0.7197 0.5495
Li9 0.2496 0.5720 0.4409

=====

## Li3Fe8B8O24 (GGA+U)

Data for crystalline Li3Fe8B8O24 at its relaxed geometry.

## Properties
The value obtained for the volume is 11.3 Å³ per atom. The formation energy comes out at -2.25 eV per atom. The space-group type is P1 (1). As for the uncorrected energy: -307.9 eV per cell. As for the magnetic moment: 37.0 μB/f.u.

a = 5.2202 Å, b = 9.1521 Å, c = 10.1363 Å
α = 89.10°, β = 89.58°, γ = 89.34°
Atoms (fractional coordinates):
B1 0.3334 0.6574 0.8757
O1 0.6752 0.6139 0.3488
O2 0.1907 0.5347 0.9142
Fe1 0.1865 0.4869 0.1364
B2 0.3381 0.9981 0.3814
O3 0.9068 0.8459 0.1341
Fe2 0.8307 0.1660 0.3783
Li1 0.6821 0.6704 0.1509
O4 0.2596 0.8618 0.4304
B3 0.8332 0.4955 0.3715
O5 0.8990 0.5108 0.6795
Fe3 0.8313 0.5050 0.8745
O6 0.2758 0.3693 0.6331
O7 0.7358 0.3649 0.4190
Li2 0.1520 0.1709 0.6477
Li3 0.3349 0.3182 0.9117
O8 0.2609 0.6267 0.5774
Fe4 0.1710 0.8286 0.6311
O9 0.1791 0.1157 0.3884
B4 0.6728 0.3317 0.1232
Fe5 0.3207 0.9880 0.8796
Fe6 0.6710 0.0119 0.1255
O10 0.5914 0.6554 0.8955
O11 0.8223 0.8815 0.6360
Fe7 0.3255 0.6602 0.3797
O12 0.3236 0.9448 0.0853
O13 0.0923 0.5038 0.3432
O14 0.2939 0.7050 0.1777
O15 0.8080 0.4586 0.0884
Fe8 0.6493 0.3492 0.6240
O16 0.0899 0.1662 0.8563
O17 0.6965 0.3062 0.8468
O18 0.4074 0.9994 0.6616
O19 0.6888 0.0624 0.9334
B5 0.1475 0.4992 0.6297
O20 0.5868 0.0110 0.3289
B6 0.1705 0.8330 0.1332
B7 0.6700 0.0023 0.6267
O21 0.8070 0.2082 0.1746
O22 0.2123 0.7806 0.8235
O23 0.7736 0.1356 0.5821
O24 0.4172 0.3232 0.1027
B8 0.8315 0.1763 0.8798

=====

## LiCo2C4O12 (GGA+U)

Data for crystalline LiCo2C4O12 at its relaxed geometry.

## Properties
The value obtained for the volume is 14.9 Å³ per atom. The formation energy comes out at -1.54 eV per atom. The space-group type is P2_1 (4). As for the uncorrected energy: -260.5 eV per cell. As for the magnetic moment: 3.0 μB/f.u.

a = 9.5509 Å, b = 7.4558 Å, c = 8.4334 Å
α = 70.42°, β = 90.00°, γ = 90.00°
Atoms (fractional coordinates):
O1 0.9789 0.3860 0.5451
C1 0.3997 0.9947 0.5178
C2 0.9736 0.5081 0.6179
O2 0.0066 0.1318 0.9665
C3 0.6201 0.4801 0.0039
C4 0.0009 0.0067 0.8987
O3 0.8377 0.1253 0.3533
Li1 0.4131 0.7475 0.8914
C5 0.1201 0.5199 0.9961
Co1 0.8536 0.7104 0.8175
Co2 0.1346 0.8252 0.6771
O4 0.8589 0.5273 0.6923
O5 0.0318 0.9827 0.4743
O6 0.1608 0.3750 0.1208
O7 0.8999 0.8796 0.9350
O8 0.7076 0.3602 0.0970
C6 0.5009 0.9933 0.1013
O9 0.6608 0.6250 0.8792
Co3 0.3536 0.2896 0.1825
O10 0.3241 0.0848 0.3874
O11 0.4849 0.4699 0.0279
O12 0.5066 0.8682 0.0335
O13 0.3999 0.1204 0.0650
O14 0.3589 0.4727 0.3077
O15 0.2076 0.6398 0.9030
C7 0.4736 0.4919 0.3821
O16 0.5318 0.0173 0.5257
O17 0.0847 0.6109 0.6173
O18 0.3377 0.8747 0.6467
Co4 0.6346 0.1748 0.3229
O19 0.0975 0.0020 0.7886
O20 0.9849 0.5301 0.9721
O21 0.4789 0.6140 0.4549
O22 0.5847 0.3891 0.3827
Li2 0.9131 0.2525 0.1086
O23 0.8241 0.9152 0.6126
O24 0.5975 0.9980 0.2114
C8 0.8997 0.0053 0.4822

=====

## K3Fe5F15 (GGA+U)

Data for crystalline K3Fe5F15 at its relaxed geometry.

## Properties
The value obtained for the volume is 14.7 Å³ per atom. The formation energy comes out at -2.73 eV per atom. The space-group type is P4/mbm (127). As for the uncorrected energy: -237.9 eV per cell. As for the magnetic moment: 22.0 μB/f.u.

a = 12.8979 Å, b = 12.8979 Å, c = 4.0559 Å
α = 90.00°, β = 90.00°, γ = 90.00°
Atoms (fractional coordinates):
F1 0.4927 0.1525 0.0000
K1 0.3247 0.1753 0.5000
Fe1 0.2871 0.4233 0.0000
F2 0.5073 0.8475 0.0000
F3 0.0000 0.5000 0.5000
F4 0.3475 0.0073 0.0000
F5 0.8586 0.9300 0.0000
Fe2 0.9233 0.7871 0.0000
F6 0.8475 0.4927 0.0000
F7 0.9238 0.7909 0.5000
F8 0.5000 0.0000 0.5000
F9 0.3586 0.5700 0.0000
K2 0.1753 0.6753 0.5000
Fe3 0.0767 0.2129 0.0000
K3 0.5000 0.5000 0.5000
F10 0.0700 0.8586 0.0000
F11 0.9300 0.1414 0.0000
F12 0.1525 0.5073 0.0000
F13 0.4238 0.7091 0.5000
Fe4 0.2129 0.9233 0.0000
F14 0.2091 0.9238 0.5000
F15 0.2234 0.2766 0.0000
F16 0.0762 0.2091 0.5000
F17 0.6525 0.9927 0.0000
Fe5 0.5767 0.2871 0.0000
Fe6 0.4233 0.7129 0.0000
F18 0.5762 0.2909 0.5000
F19 0.9927 0.3475 0.0000
F20 0.6414 0.4300 0.0000
Fe7 0.5000 0.0000 0.0000
F21 0.1414 0.0700 0.0000
F22 0.7234 0.2234 0.0000
Fe8 0.7129 0.5767 0.0000
F23 0.7091 0.5762 0.5000
F24 0.0073 0.6525 0.0000
Fe9 0.0000 0.5000 0.0000
F25 0.4300 0.3586 0.0000
F26 0.2909 0.4238 0.5000
K4 0.6753 0.8247 0.5000
Fe10 0.7871 0.0767 0.0000
F27 0.7766 0.7234 0.0000
F28 0.5700 0.6414 0.0000
K5 0.0000 0.0000 0.5000
K6 0.8247 0.3247 0.5000
F29 0.7909 0.0762 0.5000
F30 0.2766 0.7766 0.0000